# Na8ZnSi4Sn3P2O24

Na8ZnSi4Sn3P2O24 after structural relaxation (PBE-GGA, the Materials Project).

abc: 9.124 9.133 22.353
angles: 90.18 90.10 119.96
Space group P1 (No. 1)
Symmetry-distinct sites (fractional):
Na 0.000 0.000 0.000 (multiplicity 1)
Na 0.000 0.364 0.498 (multiplicity 1)
Na 0.026 0.687 0.586 (multiplicity 1)
Na 0.030 0.694 0.083 (multiplicity 1)
Na 0.044 0.331 0.837 (multiplicity 1)
Na 0.046 0.076 0.332 (multiplicity 1)
Na 0.059 0.017 0.669 (multiplicity 1)
Na 0.065 0.394 0.165 (multiplicity 1)
Na 0.320 0.657 0.668 (multiplicity 1)
Na 0.330 0.029 0.165 (multiplicity 1)
Na 0.359 0.357 0.253 (multiplicity 1)
Na 0.363 0.364 0.753 (multiplicity 1)
Na 0.366 0.724 0.000 (multiplicity 1)
Na 0.367 0.999 0.494 (multiplicity 1)
Na 0.392 0.070 0.839 (multiplicity 1)
Na 0.393 0.682 0.335 (multiplicity 1)
Na 0.651 0.323 0.336 (multiplicity 1)
Na 0.654 0.681 0.837 (multiplicity 1)
Na 0.692 0.029 0.414 (multiplicity 1)
Na 0.695 0.660 0.164 (multiplicity 1)
Na 0.697 0.027 0.921 (multiplicity 1)
Na 0.711 0.409 0.666 (multiplicity 1)
Na 0.720 0.719 0.498 (multiplicity 1)
Na 0.724 0.358 0.000 (multiplicity 1)
Zn 0.023 0.687 0.731 (multiplicity 1)
Zn 0.363 0.360 0.910 (multiplicity 1)
Zn 0.365 0.361 0.399 (multiplicity 1)
Si 0.030 0.396 0.332 (multiplicity 1)
Si 0.068 0.359 0.997 (multiplicity 1)
Si 0.325 0.990 0.332 (multiplicity 1)
Si 0.364 0.657 0.498 (multiplicity 1)
Si 0.365 0.067 0.997 (multiplicity 1)
Si 0.405 0.733 0.166 (multiplicity 1)
Si 0.657 0.360 0.498 (multiplicity 1)
Si 0.657 0.655 0.997 (multiplicity 1)
Si 0.696 0.323 0.166 (multiplicity 1)
Si 0.697 0.732 0.666 (multiplicity 1)
Si 0.990 0.027 0.166 (multiplicity 1)
Si 0.994 0.322 0.665 (multiplicity 1)
Sn 0.030 0.694 0.934 (multiplicity 1)
Sn 0.031 0.688 0.433 (multiplicity 1)
Sn 0.034 0.695 0.230 (multiplicity 1)
Sn 0.363 0.361 0.100 (multiplicity 1)
Sn 0.365 0.368 0.599 (multiplicity 1)
Sn 0.695 0.030 0.267 (multiplicity 1)
Sn 0.697 0.028 0.065 (multiplicity 1)
Sn 0.697 0.028 0.565 (multiplicity 1)
Sn 0.699 0.026 0.766 (multiplicity 1)
P 0.030 0.987 0.830 (multiplicity 1)
P 0.069 0.066 0.499 (multiplicity 1)
P 0.325 0.697 0.829 (multiplicity 1)
P 0.404 0.030 0.666 (multiplicity 1)
P 0.735 0.398 0.830 (multiplicity 1)
P 0.740 0.697 0.332 (multiplicity 1)
O 0.005 0.855 0.171 (multiplicity 1)
O 0.016 0.509 0.670 (multiplicity 1)
O 0.049 0.886 0.494 (multiplicity 1)
O 0.051 0.532 0.993 (multiplicity 1)
O 0.055 0.902 0.775 (multiplicity 1)
O 0.062 0.517 0.273 (multiplicity 1)
O 0.141 0.318 0.938 (multiplicity 1)
O 0.144 0.177 0.444 (multiplicity 1)
O 0.177 0.326 0.660 (multiplicity 1)
O 0.178 0.198 0.161 (multiplicity 1)
O 0.182 0.142 0.557 (multiplicity 1)
O 0.185 0.164 0.835 (multiplicity 1)
O 0.188 0.403 0.058 (multiplicity 1)
O 0.193 0.877 0.993 (multiplicity 1)
O 0.194 0.679 0.496 (multiplicity 1)
O 0.199 0.382 0.336 (multiplicity 1)
O 0.203 0.905 0.274 (multiplicity 1)
O 0.215 0.672 0.774 (multiplicity 1)
O 0.217 0.717 0.170 (multiplicity 1)
O 0.229 0.872 0.671 (multiplicity 1)
O 0.242 0.868 0.392 (multiplicity 1)
O 0.247 0.732 0.887 (multiplicity 1)
O 0.319 0.538 0.559 (multiplicity 1)
O 0.321 0.144 0.057 (multiplicity 1)
O 0.345 0.175 0.336 (multiplicity 1)
O 0.347 0.542 0.835 (multiplicity 1)
O 0.387 0.546 0.161 (multiplicity 1)
O 0.390 0.193 0.660 (multiplicity 1)
O 0.406 0.180 0.938 (multiplicity 1)
O 0.407 0.579 0.440 (multiplicity 1)
O 0.484 0.855 0.107 (multiplicity 1)
O 0.485 0.997 0.610 (multiplicity 1)
O 0.505 0.866 0.827 (multiplicity 1)
O 0.509 0.994 0.329 (multiplicity 1)
O 0.521 0.069 0.722 (multiplicity 1)
O 0.523 0.544 0.662 (multiplicity 1)
O 0.525 0.339 0.161 (multiplicity 1)
O 0.525 0.812 0.225 (multiplicity 1)
O 0.533 0.046 0.004 (multiplicity 1)
O 0.534 0.847 0.506 (multiplicity 1)
O 0.537 0.317 0.440 (multiplicity 1)
O 0.543 0.583 0.938 (multiplicity 1)
O 0.558 0.376 0.835 (multiplicity 1)
O 0.566 0.539 0.336 (multiplicity 1)
O 0.578 0.397 0.560 (multiplicity 1)
O 0.581 0.536 0.057 (multiplicity 1)
O 0.649 0.811 0.725 (multiplicity 1)
O 0.654 0.202 0.225 (multiplicity 1)
O 0.678 0.845 0.004 (multiplicity 1)
O 0.682 0.193 0.505 (multiplicity 1)
O 0.721 0.216 0.827 (multiplicity 1)
O 0.729 0.862 0.328 (multiplicity 1)
O 0.731 0.853 0.607 (multiplicity 1)
O 0.740 0.244 0.107 (multiplicity 1)
O 0.818 0.507 0.775 (multiplicity 1)
O 0.824 0.667 0.276 (multiplicity 1)
O 0.845 0.537 0.495 (multiplicity 1)
O 0.847 0.673 0.993 (multiplicity 1)
O 0.851 0.475 0.887 (multiplicity 1)
O 0.855 0.208 0.328 (multiplicity 1)
O 0.855 0.733 0.389 (multiplicity 1)
O 0.861 0.999 0.828 (multiplicity 1)
O 0.865 0.511 0.171 (multiplicity 1)
O 0.866 0.718 0.670 (multiplicity 1)
O 0.870 0.986 0.107 (multiplicity 1)
O 0.871 0.238 0.607 (multiplicity 1)
O 0.879 0.191 0.004 (multiplicity 1)
O 0.890 0.046 0.506 (multiplicity 1)
O 0.910 0.067 0.226 (multiplicity 1)
O 0.912 0.199 0.725 (multiplicity 1)
O 0.981 0.473 0.391 (multiplicity 1)
O 0.994 0.872 0.887 (multiplicity 1)

Computed properties:
Magnetization, μB/atom: 0.000
E, eV/atom: -6.323

***

# MgSi2

MgSi2 after structural relaxation (PBE-GGA, the Materials Project).

abc: 5.675 7.708 9.990
angles: 94.61 98.51 102.72
Space group P-1 (No. 2)
Symmetry-distinct sites (fractional):
Mg 0.091 0.237 0.173 (multiplicity 2)
Mg 0.264 0.137 0.867 (multiplicity 2)
Mg 0.278 0.568 0.009 (multiplicity 2)
Mg 0.293 0.925 0.361 (multiplicity 2)
Si 0.043 0.586 0.228 (multiplicity 2)
Si 0.147 0.877 0.616 (multiplicity 2)
Si 0.161 0.471 0.438 (multiplicity 2)
Si 0.211 0.900 0.082 (multiplicity 2)
Si 0.240 0.198 0.565 (multiplicity 2)
Si 0.386 0.448 0.753 (multiplicity 2)
Si 0.455 0.834 0.839 (multiplicity 2)
Si 0.475 0.693 0.594 (multiplicity 2)

Computed properties:
Magnetization, μB/atom: 0.001
E, eV/atom: -3.980

***

# CdGa2O4

CdGa2O4 after structural relaxation (PBE-GGA, the Materials Project).

abc: 6.1755 6.1755 30.4618
angles: 90.00 90.00 120.00
Space group P3m1 (No. 156)
Symmetry-distinct sites (fractional):
Cd 0.0000 0.0000 0.0000 (multiplicity 1)
Cd 0.0000 0.0000 0.1210 (multiplicity 1)
Cd 0.0000 0.0000 0.3122 (multiplicity 1)
Cd 0.0000 0.0000 0.4966 (multiplicity 1)
Cd 0.0000 0.0000 0.6235 (multiplicity 1)
Cd 0.3333 0.6667 0.1419 (multiplicity 1)
Cd 0.3333 0.6667 0.4562 (multiplicity 1)
Cd 0.3333 0.6667 0.8312 (multiplicity 1)
Cd 0.3333 0.6667 0.9543 (multiplicity 1)
Cd 0.6667 0.3333 0.2881 (multiplicity 1)
Cd 0.6667 0.3333 0.6644 (multiplicity 1)
Cd 0.6667 0.3333 0.7902 (multiplicity 1)
Ga 0.0000 0.0000 0.8106 (multiplicity 1)
Ga 0.0012 0.5006 0.5608 (multiplicity 3)
Ga 0.0054 0.5027 0.0582 (multiplicity 3)
Ga 0.1619 0.3237 0.2271 (multiplicity 3)
Ga 0.1665 0.3331 0.7273 (multiplicity 3)
Ga 0.3330 0.1665 0.8939 (multiplicity 3)
Ga 0.3333 0.6667 0.3332 (multiplicity 1)
Ga 0.3333 0.6667 0.6441 (multiplicity 1)
Ga 0.3415 0.1708 0.3950 (multiplicity 3)
Ga 0.6667 0.3333 0.1681 (multiplicity 1)
Ga 0.6667 0.3333 0.4788 (multiplicity 1)
Ga 0.6667 0.3333 0.9764 (multiplicity 1)
O 0.0000 0.0000 0.1919 (multiplicity 1)
O 0.0000 0.0000 0.4231 (multiplicity 1)
O 0.0000 0.0000 0.6945 (multiplicity 1)
O 0.0000 0.0000 0.9271 (multiplicity 1)
O 0.0097 0.5049 0.1920 (multiplicity 3)
O 0.0483 0.5241 0.6882 (multiplicity 3)
O 0.1423 0.2847 0.8549 (multiplicity 3)
O 0.1693 0.3387 0.3596 (multiplicity 3)
O 0.1808 0.3617 0.0905 (multiplicity 3)
O 0.1907 0.3814 0.5990 (multiplicity 3)
O 0.2854 0.1427 0.7655 (multiplicity 3)
O 0.2993 0.1497 0.2608 (multiplicity 3)
O 0.3333 0.6667 0.0242 (multiplicity 1)
O 0.3333 0.6667 0.2682 (multiplicity 1)
O 0.3333 0.6667 0.5277 (multiplicity 1)
O 0.3333 0.6667 0.7595 (multiplicity 1)
O 0.3793 0.1896 0.5220 (multiplicity 3)
O 0.3888 0.1944 0.0214 (multiplicity 3)
O 0.5246 0.0491 0.9316 (multiplicity 3)
O 0.5258 0.0515 0.4342 (multiplicity 3)
O 0.6667 0.3333 0.1046 (multiplicity 1)
O 0.6667 0.3333 0.3611 (multiplicity 1)
O 0.6667 0.3333 0.5927 (multiplicity 1)
O 0.6667 0.3333 0.8609 (multiplicity 1)

Computed properties:
Magnetization, μB/atom: 0.000
E, eV/atom: -5.444

***

# NaAlS2O19

NaAlS2O19 after structural relaxation (PBE-GGA, the Materials Project).

abc: 21.467 8.847 8.416
angles: 90.00 103.47 90.00
Space group C2/c (No. 15)
Symmetry-distinct sites (fractional):
Na 0.000 0.000 0.000 (multiplicity 4)
Al 0.250 0.250 0.000 (multiplicity 4)
S 0.125 0.233 0.471 (multiplicity 8)
O 0.000 0.326 0.750 (multiplicity 4)
O 0.024 0.400 0.881 (multiplicity 8)
O 0.067 0.146 0.391 (multiplicity 8)
O 0.102 0.183 0.069 (multiplicity 8)
O 0.124 0.242 0.648 (multiplicity 8)
O 0.128 0.383 0.395 (multiplicity 8)
O 0.143 0.151 0.993 (multiplicity 8)
O 0.185 0.161 0.447 (multiplicity 8)
O 0.222 0.339 0.802 (multiplicity 8)
O 0.222 0.408 0.096 (multiplicity 8)

Computed properties:
Magnetization, μB/atom: 0.522
E, eV/atom: -4.998

***

# K3Sm4Cu5Te10

K3Sm4Cu5Te10 after structural relaxation (PBE-GGA, the Materials Project).

abc: 4.390 16.718 18.080
angles: 90.00 90.00 90.00
Space group Pmn2_1 (No. 31)
Symmetry-distinct sites (fractional):
K 0.000 0.077 0.000 (multiplicity 2)
K 0.000 0.250 0.837 (multiplicity 2)
K 0.000 0.422 0.675 (multiplicity 2)
Sm 0.000 0.186 0.554 (multiplicity 2)
Sm 0.000 0.317 0.124 (multiplicity 2)
Sm 0.000 0.540 0.892 (multiplicity 2)
Sm 0.000 0.965 0.787 (multiplicity 2)
Cu 0.000 0.187 0.379 (multiplicity 2)
Cu 0.000 0.315 0.299 (multiplicity 2)
Cu 0.000 0.590 0.493 (multiplicity 2)
Cu 0.000 0.843 0.648 (multiplicity 2)
Cu 0.000 0.908 0.184 (multiplicity 2)
Te 0.000 0.016 0.625 (multiplicity 2)
Te 0.000 0.167 0.233 (multiplicity 2)
Te 0.000 0.334 0.442 (multiplicity 2)
Te 0.000 0.478 0.052 (multiplicity 2)
Te 0.000 0.583 0.347 (multiplicity 2)
Te 0.000 0.621 0.737 (multiplicity 2)
Te 0.000 0.752 0.157 (multiplicity 2)
Te 0.000 0.757 0.523 (multiplicity 2)
Te 0.000 0.879 0.939 (multiplicity 2)
Te 0.000 0.918 0.332 (multiplicity 2)

Computed properties:
E, eV/atom: -4.308

***

# PtN4Cl4

PtN4Cl4 after structural relaxation (PBE-GGA, the Materials Project).

abc: 6.007 6.007 9.316
angles: 90.00 90.00 90.00
Space group I4/mmm (No. 139)
Symmetry-distinct sites (fractional):
Pt 0.000 0.000 0.000 (multiplicity 2)
N 0.230 0.230 0.000 (multiplicity 8)
Cl 0.000 0.000 0.258 (multiplicity 4)
Cl 0.000 0.500 0.000 (multiplicity 4)

Computed properties:
Magnetization, μB/atom: 0.000
E, eV/atom: -3.595